# Li2Co3TeO8

Li2Co3TeO8 after structural relaxation (PBE+U, the Materials Project).

Its space group is P-1, No. 2. The value obtained for the size of the total moment is 9.0 μB per cell. The energy above the most stable polymorph in this dataset comes out at 0.0 meV per atom. The formation energy comes out at -1.56 eV per atom. For the calculated total energy, the calculation gives -5.67 eV/atom.

abc: 5.9741 6.0259 6.0337
angles: 91.70 118.60 119.02
Last column: nearest neighbours and their distance in Å.
Fractional positions:
Li: 0.5000 0.0000 0.5000  6 O 2.21-2.28
Li: 0.5000 0.5000 0.5000  6 O 2.10-2.24
Co: 0.0000 0.5000 0.0000  4 O 1.89-1.99
Co: 0.5000 0.0000 0.0000  6 O 2.10-2.13
Co: 0.5000 0.5000 0.0000  6 O 1.96-2.14
Te: 0.0000 0.0000 0.0000  6 O 1.93-1.98
O: 0.4377 0.7063 0.1935  2 Co 1.89-1.96
O: 0.0137 0.7740 0.7798  1 Te 1.93, 2 Co 2.10-2.15
O: 0.0088 0.2474 0.7897  1 Te 1.98, 2 Co 1.99-2.13, 1 Li 2.21
O: 0.5444 0.7666 0.7741  1 Te 1.97, 1 Li 2.10, 2 Co 2.12-2.14
O: 0.4556 0.2334 0.2259  1 Te 1.97, 1 Li 2.10, 2 Co 2.12-2.14
O: 0.9912 0.7526 0.2103  1 Te 1.98, 2 Co 1.99-2.13, 1 Li 2.21
O: 0.9863 0.2260 0.2202  1 Te 1.93, 2 Co 2.10-2.15
O: 0.5623 0.2937 0.8065  2 Co 1.89-1.96

=====

# Li2VO2F2

Li2VO2F2 after structural relaxation (PBE+U, the Materials Project).

Its space group is P1, No. 1. The value obtained for the size of the total moment is 4.0 μB per cell. The energy above the most stable polymorph in this dataset comes out at 24.0 meV per atom. The formation energy comes out at -2.81 eV per atom. For the calculated total energy, the calculation gives -6.05 eV/atom.

abc: 5.7623 10.2623 5.9656
angles: 89.42 61.07 73.77
Last column: nearest neighbours and their distance in Å.
Fractional positions:
Li: 0.1281 0.5605 0.1813  2 F 1.95, 2 O 1.99
Li: 0.1300 0.0605 0.6814  2 F 1.95, 2 O 1.99
Li: 0.8697 0.4395 0.8187  2 F 1.95, 2 O 1.99
Li: 0.8719 0.9395 0.3185  2 F 1.95, 2 O 1.99-2.00
Li: 0.5020 0.0000 0.0000  4 F 2.03-2.04, 2 O 2.13
Li: 0.4978 0.5000 0.4998  4 F 2.03-2.04, 2 O 2.13
Li: 0.5003 0.2499 0.7500  4 F 2.03-2.04, 2 O 2.13
Li: 0.5000 0.7500 0.2499  4 F 2.03-2.04, 2 O 2.13
V: 0.0001 0.7500 0.7501  4 O 1.85-2.00, 2 F 2.01
V: 0.5003 0.2495 0.2509  4 O 1.85-2.00, 2 F 2.01
V: 0.0003 0.2506 0.2496  4 O 1.85-2.00, 2 F 2.01
V: 0.4998 0.7500 0.7501  4 O 1.86-2.00, 2 F 2.01
O: 0.7293 0.6438 0.8638  2 V 1.86-2.00, 1 Li 1.99
O: 0.7622 0.1440 0.3639  2 V 1.86-1.99, 1 Li 2.00
O: 0.7299 0.3602 0.1480  2 V 1.86-2.00, 1 Li 1.99
O: 0.7629 0.8601 0.6478  2 V 1.86-2.00, 1 Li 1.99
O: 0.2382 0.3563 0.1361  2 V 1.85-2.00, 1 Li 1.99
O: 0.2707 0.8561 0.6359  2 V 1.86-2.00, 1 Li 1.99
O: 0.2371 0.6398 0.8520  2 V 1.85-2.00, 1 Li 1.99
O: 0.2697 0.1399 0.3521  2 V 1.85-2.00, 1 Li 1.99
F: 0.2759 0.8676 0.0996  3 Li 1.95-2.04, 1 V 2.01
F: 0.2745 0.3660 0.6014  3 Li 1.95-2.03, 1 V 2.01
F: 0.7583 0.8658 0.1012  3 Li 1.95-2.04, 1 V 2.01
F: 0.7567 0.3677 0.5997  3 Li 1.95-2.04, 1 V 2.01
F: 0.2431 0.1326 0.9002  3 Li 1.95-2.03, 1 V 2.01
F: 0.2417 0.6340 0.3987  3 Li 1.95-2.04, 1 V 2.01
F: 0.7254 0.1340 0.8992  3 Li 1.95-2.03, 1 V 2.01
F: 0.7241 0.6323 0.4002  3 Li 1.95-2.04, 1 V 2.01

=====

# NaCrP2O7

NaCrP2O7 after structural relaxation (PBE+U, the Materials Project).

Its space group is P2_1/c, No. 14. The value obtained for the size of the total moment is 12.0 μB per cell. The formation energy comes out at -2.65 eV per atom. For the calculated total energy, the calculation gives -7.16 eV/atom.

abc: 7.9823 7.3671 9.6214
angles: 68.46 90.00 90.00
Last column: nearest neighbours and their distance in Å.
Fractional positions:
Na: 0.4784 0.7086 0.2959  5 O 2.37-2.64
Na: 0.9784 0.2914 0.2041  5 O 2.37-2.64
Na: 0.5216 0.2914 0.7041  5 O 2.37-2.64
Na: 0.0216 0.7086 0.7959  5 O 2.37-2.64
Cr: 0.9935 0.2601 0.7530  6 O 1.97-2.05
Cr: 0.4935 0.7399 0.7470  6 O 1.97-2.05
Cr: 0.0065 0.7399 0.2470  6 O 1.97-2.05
Cr: 0.5065 0.2601 0.2530  6 O 1.97-2.05
P: 0.7106 0.6729 0.0442  4 O 1.52-1.63
P: 0.2106 0.3271 0.4558  4 O 1.52-1.63
P: 0.2894 0.3271 0.9558  4 O 1.52-1.63
P: 0.7894 0.6729 0.5442  4 O 1.52-1.63
P: 0.7552 0.0757 0.0457  4 O 1.51-1.63
P: 0.2552 0.9243 0.4543  4 O 1.51-1.63
P: 0.2448 0.9243 0.9543  4 O 1.51-1.63
P: 0.7448 0.0757 0.5457  4 O 1.51-1.63
O: 0.6539 0.8797 0.0562  2 P 1.63
O: 0.1539 0.1203 0.4438  2 P 1.63
O: 0.3461 0.1203 0.9438  2 P 1.63
O: 0.8461 0.8797 0.5562  2 P 1.63
O: 0.5862 0.5351 0.1513  1 P 1.52
O: 0.0862 0.4649 0.3487  1 P 1.52
O: 0.4138 0.4649 0.8487  1 P 1.52
O: 0.9138 0.5351 0.6513  1 P 1.52
O: 0.6371 0.1873 0.1077  1 P 1.51
O: 0.1371 0.8127 0.3923  1 P 1.51
O: 0.3629 0.8127 0.8923  1 P 1.51
O: 0.8629 0.1873 0.6077  1 P 1.51
O: 0.9152 0.0116 0.1410  1 P 1.54
O: 0.4152 0.9884 0.3590  1 P 1.54
O: 0.0848 0.9884 0.8590  1 P 1.54
O: 0.5848 0.0116 0.6410  1 P 1.54
O: 0.8947 0.6380 0.0977  1 P 1.55
O: 0.3947 0.3620 0.4023  1 P 1.55
O: 0.1053 0.3620 0.9023  1 P 1.55
O: 0.6053 0.6380 0.5977  1 P 1.55
O: 0.7869 0.1935 0.8801  1 P 1.53
O: 0.2869 0.8065 0.6199  1 P 1.53
O: 0.2131 0.8065 0.1199  1 P 1.53
O: 0.7131 0.1935 0.3801  1 P 1.53
O: 0.7015 0.6865 0.8818  1 P 1.53
O: 0.2015 0.3135 0.6182  1 P 1.53
O: 0.2985 0.3135 0.1182  1 P 1.53
O: 0.7985 0.6865 0.3818  1 P 1.53

=====

# SrNi2Te3Cl2O8

SrNi2Te3Cl2O8 after structural relaxation (PBE+U, the Materials Project).

Its space group is P2_1/c, No. 14. The value obtained for the size of the total moment is 16.0 μB per cell. The formation energy comes out at -1.65 eV per atom. For the calculated total energy, the calculation gives -5.11 eV/atom.

abc: 9.0089 6.7365 19.4431
angles: 71.87 90.00 90.00
Last column: nearest neighbours and their distance in Å.
Fractional positions:
Sr: 0.4116 0.0169 0.7234  5 O 2.48-2.77
Sr: 0.5884 0.9831 0.2766  5 O 2.48-2.77
Sr: 0.9116 0.9831 0.7766  5 O 2.48-2.77
Sr: 0.0884 0.0169 0.2234  5 O 2.48-2.77
Ni: 0.2517 0.5772 0.3198  5 O 2.07-2.19
Ni: 0.7517 0.4228 0.1802  5 O 2.07-2.19
Ni: 0.9593 0.3155 0.3199  5 O 2.08-2.14
Ni: 0.0407 0.6845 0.6801  5 O 2.08-2.14
Ni: 0.7483 0.4228 0.6802  5 O 2.07-2.19
Ni: 0.2483 0.5772 0.8198  5 O 2.07-2.19
Ni: 0.4593 0.6845 0.1801  5 O 2.08-2.14
Ni: 0.5407 0.3155 0.8199  5 O 2.08-2.14
Te: 0.3942 0.5952 0.6351  2 O 1.91
Te: 0.0744 0.2918 0.6075  3 O 1.89-1.92
Te: 0.4256 0.2918 0.1075  3 O 1.89-1.92
Te: 0.7762 0.9574 0.1122  3 O 1.89-1.92
Te: 0.9256 0.7082 0.3925  3 O 1.89-1.92
Te: 0.2762 0.0426 0.3878  3 O 1.89-1.92
Te: 0.6058 0.4048 0.3649  2 O 1.91
Te: 0.5744 0.7082 0.8925  3 O 1.89-1.92
Te: 0.2238 0.0426 0.8878  3 O 1.89-1.92
Te: 0.8942 0.4048 0.8649  2 O 1.91
Te: 0.7238 0.9574 0.6122  3 O 1.89-1.92
Te: 0.1058 0.5952 0.1351  2 O 1.91
Cl: 0.9055 0.2398 0.4482  1 Ni 2.43
Cl: 0.7980 0.5588 0.0508  1 Ni 2.43
Cl: 0.0945 0.7602 0.5518  1 Ni 2.43
Cl: 0.5945 0.2398 0.9482  1 Ni 2.43
Cl: 0.4055 0.7602 0.0518  1 Ni 2.43
Cl: 0.7020 0.5588 0.5508  1 Ni 2.43
Cl: 0.2020 0.4412 0.9492  1 Ni 2.43
Cl: 0.2980 0.4412 0.4492  1 Ni 2.43
O: 0.0197 0.1241 0.8705  1 Te 1.92
O: 0.9444 0.9913 0.3354  1 Te 1.89, 1 Ni 2.11
O: 0.9803 0.8759 0.1295  1 Te 1.92
O: 0.5211 0.3817 0.1803  1 Te 1.91, 2 Ni 2.10-2.11
O: 0.2137 0.8899 0.8207  1 Te 1.90
O: 0.2313 0.6721 0.2020  1 Te 1.91, 1 Ni 2.09
O: 0.2687 0.6721 0.7020  1 Te 1.91, 1 Ni 2.09
O: 0.8110 0.7213 0.6799  1 Te 1.89, 2 Ni 2.08-2.09
O: 0.7687 0.3279 0.7980  1 Te 1.91, 1 Ni 2.09
O: 0.2863 0.8899 0.3207  1 Te 1.90
O: 0.4757 0.5866 0.2956  1 Te 1.91, 2 Ni 2.07-2.14
O: 0.0211 0.6183 0.3197  1 Te 1.91, 2 Ni 2.10-2.11
O: 0.7863 0.1101 0.1793  1 Te 1.90
O: 0.7713 0.6836 0.8576  2 Te 1.92-2.15
O: 0.7313 0.3279 0.2980  1 Te 1.91, 1 Ni 2.09
O: 0.0243 0.5866 0.7956  1 Te 1.91, 2 Ni 2.07-2.14
O: 0.9757 0.4134 0.2044  1 Te 1.91, 2 Ni 2.07-2.14
O: 0.7287 0.6836 0.3576  2 Te 1.92-2.15
O: 0.9789 0.3817 0.6803  1 Te 1.91, 2 Ni 2.10-2.11
O: 0.4444 0.0087 0.1646  1 Te 1.89, 1 Ni 2.11
O: 0.4789 0.6183 0.8197  1 Te 1.91, 2 Ni 2.10-2.11
O: 0.3110 0.2787 0.8201  1 Te 1.89, 2 Ni 2.08-2.09
O: 0.0556 0.0087 0.6646  1 Te 1.89, 1 Ni 2.11
O: 0.5556 0.9913 0.8354  1 Te 1.89, 1 Ni 2.11
O: 0.2713 0.3164 0.6424  2 Te 1.92-2.15
O: 0.7137 0.1101 0.6793  1 Te 1.90
O: 0.4803 0.1241 0.3705  1 Te 1.92
O: 0.5197 0.8759 0.6295  1 Te 1.92
O: 0.6890 0.7213 0.1799  1 Te 1.89, 2 Ni 2.08-2.09
O: 0.2287 0.3164 0.1424  2 Te 1.92-2.15
O: 0.1890 0.2787 0.3201  1 Te 1.89, 2 Ni 2.08-2.09
O: 0.5243 0.4134 0.7044  1 Te 1.91, 2 Ni 2.07-2.14

=====

# Mg6ZnCoO8

Mg6ZnCoO8 after structural relaxation (PBE+U, the Materials Project).

Its space group is P4/mmm, No. 123. The value obtained for the size of the total moment is 3.0 μB per cell. The energy above the most stable polymorph in this dataset comes out at 0.0 meV per atom. The formation energy comes out at -2.60 eV per atom. For the calculated total energy, the calculation gives -5.75 eV/atom.

abc: 8.5423 4.2678 4.2678
angles: 90.00 90.00 90.00
Last column: nearest neighbours and their distance in Å.
Fractional positions:
Mg: 0.0000 0.5000 0.5000  6 O 2.13
Mg: 0.5000 0.5000 0.5000  6 O 2.13-2.14
Mg: 0.2508 0.0000 0.5000  6 O 2.13-2.14
Mg: 0.7492 0.0000 0.5000  6 O 2.13-2.14
Mg: 0.2508 0.5000 0.0000  6 O 2.13-2.14
Mg: 0.7492 0.5000 0.0000  6 O 2.13-2.14
Zn: 0.0000 0.0000 0.0000  6 O 2.13-2.15
Co: 0.5000 0.0000 0.0000  6 O 2.12-2.13
O: 0.2515 0.0000 0.0000  1 Co 2.12, 4 Mg 2.13, 1 Zn 2.15
O: 0.7485 0.0000 0.0000  1 Co 2.12, 4 Mg 2.13, 1 Zn 2.15
O: 0.2497 0.5000 0.5000  6 Mg 2.13-2.14
O: 0.7503 0.5000 0.5000  6 Mg 2.13-2.14
O: 0.0000 0.0000 0.5000  4 Mg 2.13-2.14, 2 Zn 2.13
O: 0.5000 0.0000 0.5000  4 Mg 2.13, 2 Co 2.13
O: 0.0000 0.5000 0.0000  4 Mg 2.13-2.14, 2 Zn 2.13
O: 0.5000 0.5000 0.0000  4 Mg 2.13, 2 Co 2.13

=====

# Na3FeC6O17

Na3FeC6O17 after structural relaxation (PBE+U, the Materials Project).

Its space group is C2/c, No. 15. The value obtained for the size of the total moment is 28.0 μB per cell. The energy above the most stable polymorph in this dataset comes out at 0.0 meV per atom. The formation energy comes out at -1.03 eV per atom. For the calculated total energy, the calculation gives -6.57 eV/atom.

abc: 11.0660 11.0660 14.4545
angles: 79.31 100.69 104.69
Last column: nearest neighbours and their distance in Å.
Fractional positions:
Na: 0.2846 0.2846 0.7500  6 O 2.40-2.56
Na: 0.7154 0.7154 0.2500  6 O 2.40-2.56
Na: 0.9936 0.9936 0.7500  6 O 2.48-2.66
Na: 0.0064 0.0064 0.2500  6 O 2.48-2.66
Na: 0.2201 0.8762 0.0460  3 O 2.40-2.54
Na: 0.8762 0.2201 0.4540  3 O 2.40-2.54
Na: 0.7799 0.1238 0.9540  3 O 2.40-2.54
Na: 0.1238 0.7799 0.5460  3 O 2.40-2.54
Na: 0.4701 0.3443 0.9938  3 O 2.28-2.35
Na: 0.3443 0.4701 0.5062  3 O 2.28-2.35
Na: 0.5299 0.6557 0.0062  3 O 2.28-2.35
Na: 0.6557 0.5299 0.4938  3 O 2.28-2.35
Fe: 0.5543 0.1675 0.2475  6 O 1.99-2.08
Fe: 0.1675 0.5543 0.2525  6 O 1.99-2.08
Fe: 0.4457 0.8325 0.7525  6 O 1.99-2.08
Fe: 0.8325 0.4457 0.7475  6 O 1.99-2.08
C: 0.7305 0.0704 0.1782  2 O 1.24-1.29
C: 0.0704 0.7305 0.3219  2 O 1.24-1.29
C: 0.2695 0.9296 0.8218  2 O 1.24-1.29
C: 0.9296 0.2695 0.6782  2 O 1.24-1.29
C: 0.7141 0.9962 0.2810  2 O 1.24-1.29
C: 0.9962 0.7141 0.2190  2 O 1.24-1.29
C: 0.2859 0.0038 0.7190  2 O 1.24-1.29
C: 0.0038 0.2859 0.7810  2 O 1.24-1.29
C: 0.6029 0.4362 0.1881  2 O 1.25-1.29
C: 0.4362 0.6029 0.3119  2 O 1.25-1.29
C: 0.3971 0.5638 0.8119  2 O 1.25-1.29
C: 0.5638 0.3971 0.6881  2 O 1.25-1.29
C: 0.6918 0.4159 0.2840  2 O 1.24-1.29
C: 0.4159 0.6918 0.2160  2 O 1.24-1.29
C: 0.3082 0.5841 0.7160  2 O 1.24-1.29
C: 0.5841 0.3082 0.7840  2 O 1.24-1.29
C: 0.2982 0.0343 0.2112  2 O 1.25-1.30
C: 0.0343 0.2982 0.2888  2 O 1.25-1.30
C: 0.7018 0.9657 0.7888  2 O 1.25-1.30
C: 0.9657 0.7018 0.7112  2 O 1.25-1.30
C: 0.3100 0.0954 0.3022  2 O 1.23-1.30
C: 0.0954 0.3100 0.1978  2 O 1.23-1.30
C: 0.6900 0.9046 0.6978  2 O 1.23-1.30
C: 0.9046 0.6900 0.8022  2 O 1.23-1.30
O: 0.3474 0.1170 0.9792  1 O 1.24
O: 0.1170 0.3474 0.5208  1 O 1.24
O: 0.6526 0.8830 0.0208  1 O 1.24
O: 0.8830 0.6526 0.4792  1 O 1.24
O: 0.2646 0.1746 0.9796  1 O 1.24
O: 0.1746 0.2646 0.5204  1 O 1.24
O: 0.7354 0.8254 0.0204  1 O 1.24
O: 0.8254 0.7354 0.4796  1 O 1.24
O: 0.3223 0.5511 0.0193  1 O 1.31
O: 0.5511 0.3223 0.4807  1 O 1.31
O: 0.6777 0.4489 0.9807  1 O 1.31
O: 0.4489 0.6777 0.5193  1 O 1.31
O: 0.1955 0.6843 0.9803  1 O 1.29
O: 0.6843 0.1955 0.5197  1 O 1.29
O: 0.8045 0.3157 0.0197  1 O 1.29
O: 0.3157 0.8045 0.4803  1 O 1.29
O: 0.2108 0.5719 0.9837  2 O 1.29-1.31
O: 0.5719 0.2108 0.5163  2 O 1.29-1.31
O: 0.7892 0.4281 0.0163  2 O 1.29-1.31
O: 0.4281 0.7892 0.4837  2 O 1.29-1.31
O: 0.6613 0.1518 0.1506  1 C 1.29
O: 0.1518 0.6613 0.3494  1 C 1.29
O: 0.3387 0.8482 0.8494  1 C 1.29
O: 0.8482 0.3387 0.6506  1 C 1.29
O: 0.6396 0.0327 0.3233  1 C 1.29
O: 0.0327 0.6396 0.1767  1 C 1.29
O: 0.3604 0.9673 0.6767  1 C 1.29
O: 0.9673 0.3604 0.8233  1 C 1.29
O: 0.1957 0.9530 0.8680  1 C 1.24
O: 0.9530 0.1957 0.6320  1 C 1.24
O: 0.8043 0.0470 0.1320  1 C 1.24
O: 0.0470 0.8043 0.3680  1 C 1.24
O: 0.2277 0.0885 0.6870  1 C 1.24
O: 0.0885 0.2277 0.8130  1 C 1.24
O: 0.7723 0.9115 0.3130  1 C 1.24
O: 0.9115 0.7723 0.1870  1 C 1.24
O: 0.5316 0.3342 0.1594  1 C 1.29
O: 0.3342 0.5316 0.3406  1 C 1.29
O: 0.4684 0.6658 0.8406  1 C 1.29
O: 0.6658 0.4684 0.6594  1 C 1.29
O: 0.6913 0.2986 0.3158  1 C 1.29
O: 0.2986 0.6913 0.1842  1 C 1.29
O: 0.3087 0.7014 0.6842  1 C 1.29
O: 0.7014 0.3087 0.8158  1 C 1.29
O: 0.3939 0.4549 0.8554  1 C 1.25
O: 0.4549 0.3939 0.6446  1 C 1.25
O: 0.6061 0.5451 0.1446  1 C 1.25
O: 0.5451 0.6061 0.3554  1 C 1.25
O: 0.2451 0.4913 0.6782  1 C 1.24
O: 0.4913 0.2451 0.8218  1 C 1.24
O: 0.7549 0.5087 0.3218  1 C 1.24
O: 0.5087 0.7549 0.1782  1 C 1.24
O: 0.4034 0.0556 0.1774  1 C 1.30
O: 0.0556 0.4034 0.3226  1 C 1.30
O: 0.5966 0.9444 0.8226  1 C 1.30
O: 0.9444 0.5966 0.6774  1 C 1.30
O: 0.4243 0.1572 0.3289  1 C 1.30
O: 0.1572 0.4243 0.1711  1 C 1.30
O: 0.5757 0.8428 0.6711  1 C 1.30
O: 0.8428 0.5757 0.8289  1 C 1.30
O: 0.8047 0.0288 0.8241  1 C 1.25
O: 0.0288 0.8047 0.6759  1 C 1.25
O: 0.1953 0.9712 0.1759  1 C 1.25
O: 0.9712 0.1953 0.3241  1 C 1.25
O: 0.7832 0.9168 0.6585  1 C 1.23
O: 0.9168 0.7832 0.8415  1 C 1.23
O: 0.2168 0.0832 0.3415  1 C 1.23
O: 0.0832 0.2168 0.1585  1 C 1.23